First-principles (GGA-PBE) data for crystalline Ca4Te5O14 at its relaxed geometry, as listed in the Materials Project database.

Cell: 11.0694 16.7569 15.9790 Å, 90.00 90.00 90.00°
Space group Pbca (No. 61)
Symmetry-distinct sites (fractional):
Ca 0.1143 0.0125 0.0896 [8 per cell]
Ca 0.1160 0.6454 0.7562 [8 per cell]
Ca 0.1189 0.1814 0.2623 [8 per cell]
Ca 0.1230 0.5097 0.2355 [8 per cell]
Te 0.1023 0.6593 0.4097 [8 per cell]
Te 0.1125 0.1536 0.9078 [8 per cell]
Te 0.1261 0.0130 0.3979 [8 per cell]
Te 0.1275 0.1534 0.5854 [8 per cell]
Te 0.1357 0.6754 0.0926 [8 per cell]
O 0.0052 0.5717 0.8693 [8 per cell]
O 0.0091 0.0879 0.3528 [8 per cell]
O 0.0149 0.6049 0.3245 [8 per cell]
O 0.0309 0.0799 0.8342 [8 per cell]
O 0.0574 0.5806 0.4889 [8 per cell]
O 0.0606 0.2178 0.6701 [8 per cell]
O 0.0694 0.7400 0.1786 [8 per cell]
O 0.1910 0.5145 0.7929 [8 per cell]
O 0.2155 0.0811 0.9664 [8 per cell]
O 0.2221 0.2009 0.8303 [8 per cell]
O 0.2416 0.0885 0.6437 [8 per cell]
O 0.2415 0.1235 0.3774 [8 per cell]
O 0.2447 0.6136 0.1586 [8 per cell]
O 0.2492 0.7408 0.5520 [8 per cell]

Calculated formation energy = -2297 meV per atom

=====

First-principles (GGA-PBE) data for crystalline CaTeO3 at its relaxed geometry, as listed in the Materials Project database.

Cell: 10.5067 11.4551 14.2764 Å, 78.00 84.80 72.87°
Space group P-1 (No. 2)
Symmetry-distinct sites (fractional):
Ca 0.0382 0.4342 0.1581 [2 per cell]
Ca 0.0706 0.3672 0.4278 [2 per cell]
Ca 0.1054 0.8681 0.4227 [2 per cell]
Ca 0.2239 0.6192 0.2583 [2 per cell]
Ca 0.2498 0.0840 0.2382 [2 per cell]
Ca 0.3145 0.5367 0.5225 [2 per cell]
Ca 0.3698 0.4628 0.8249 [2 per cell]
Ca 0.4168 0.8693 0.0718 [2 per cell]
Ca 0.4359 0.3630 0.0939 [2 per cell]
Te 0.0366 0.9615 0.1450 [2 per cell]
Te 0.1032 0.3339 0.6648 [2 per cell]
Te 0.1064 0.7655 0.6918 [2 per cell]
Te 0.2126 0.2462 0.9745 [2 per cell]
Te 0.2468 0.6541 0.0266 [2 per cell]
Te 0.2791 0.0218 0.5235 [2 per cell]
Te 0.3931 0.9392 0.8248 [2 per cell]
Te 0.4430 0.3236 0.3629 [2 per cell]
Te 0.4655 0.7635 0.3550 [2 per cell]
O 0.0242 0.5396 0.2832 [2 per cell]
O 0.0247 0.7096 0.3947 [2 per cell]
O 0.0654 0.7880 0.1660 [2 per cell]
O 0.0714 0.2475 0.2998 [2 per cell]
O 0.0728 0.9857 0.2660 [2 per cell]
O 0.1093 0.9978 0.5543 [2 per cell]
O 0.1198 0.4105 0.9237 [2 per cell]
O 0.1350 0.4498 0.5558 [2 per cell]
O 0.1465 0.7113 0.5720 [2 per cell]
O 0.1727 0.6140 0.7781 [2 per cell]
O 0.1788 0.2543 0.1057 [2 per cell]
O 0.1946 0.9905 0.0850 [2 per cell]
O 0.2201 0.5149 0.1198 [2 per cell]
O 0.2456 0.1948 0.4990 [2 per cell]
O 0.2679 0.4283 0.3674 [2 per cell]
O 0.2858 0.9801 0.4011 [2 per cell]
O 0.3112 0.7016 0.3742 [2 per cell]
O 0.3527 0.8062 0.9132 [2 per cell]
O 0.3582 0.6797 0.1141 [2 per cell]
O 0.3795 0.5482 0.9586 [2 per cell]
O 0.3816 0.2812 0.9595 [2 per cell]
O 0.4036 0.3757 0.6834 [2 per cell]
O 0.4220 0.8737 0.2363 [2 per cell]
O 0.4329 0.0116 0.9203 [2 per cell]
O 0.4389 0.1598 0.2126 [2 per cell]
O 0.4929 0.4097 0.2435 [2 per cell]
O 0.4947 0.6067 0.5469 [2 per cell]

Calculated formation energy = -2396 meV per atom

=====

First-principles (GGA-PBE) data for crystalline CaTeO3 at its relaxed geometry, as listed in the Materials Project database.

Cell: 8.6738 5.7500 22.9440 Å, 90.00 110.87 90.00°
Space group P2_1/c (No. 14)
Symmetry-distinct sites (fractional):
Ca 0.0066 0.1570 0.3164 [4 per cell]
Ca 0.0199 0.2295 0.0594 [4 per cell]
Ca 0.2999 0.1736 0.2251 [4 per cell]
Te 0.2554 0.6623 0.3362 [4 per cell]
Te 0.3071 0.2441 0.4881 [4 per cell]
Te 0.3223 0.7358 0.1252 [4 per cell]
O 0.0780 0.7356 0.8591 [4 per cell]
O 0.1453 0.5835 0.6304 [4 per cell]
O 0.1506 0.0683 0.7753 [4 per cell]
O 0.1645 0.0156 0.4986 [4 per cell]
O 0.1901 0.0117 0.0086 [4 per cell]
O 0.2126 0.5998 0.7754 [4 per cell]
O 0.2387 0.0461 0.6463 [4 per cell]
O 0.2468 0.2271 0.9012 [4 per cell]
O 0.4699 0.6503 0.7030 [4 per cell]

Calculated formation energy = -2398 meV per atom

=====

- Among the records above, which one has the highest calculated formation energy?
  Ca4Te5O14